Record 1
Ac2ZnHg | the Materials Project database | r²SCAN | optimized geometry; DFT formation energy = -0.38 eV/atom; crystal system = cubic
1.0
0.000 3.977 3.977
3.977 0.000 3.977
3.977 3.977 0.000
Ac Hg Zn
2 1 1
direct
0.750 0.750 0.750
0.250 0.250 0.250
0.500 0.500 0.500
0.000 0.000 0.000

---

Record 2
Ac3In | the Materials Project database | r²SCAN | optimized geometry; DFT formation energy = -0.25 eV/atom; crystal system = hexagonal
1.0
7.727 0.000 0.000
-3.863 6.692 0.000
0.000 0.000 5.981
Ac In
6 2
direct
0.646 0.823 0.250
0.823 0.646 0.750
0.177 0.354 0.250
0.823 0.177 0.750
0.177 0.823 0.250
0.354 0.177 0.750
0.333 0.667 0.750
0.667 0.333 0.250

---

Record 3
AcIn3 | the Materials Project database | r²SCAN | optimized geometry; DFT formation energy = -0.55 eV/atom; crystal system = hexagonal
1.0
-3.122 -6.136 2.226
1.241 1.078 -7.046
4.646 -2.189 0.483
In Ac
6 2
direct
0.291 0.145 0.750
0.855 0.709 0.750
0.145 0.855 0.250
0.145 0.291 0.250
0.709 0.855 0.250
0.855 0.145 0.750
0.333 0.667 0.750
0.667 0.333 0.250

---

Record 4
SrAcIn2 | the Materials Project database | r²SCAN | optimized geometry; DFT formation energy = -0.53 eV/atom; crystal system = cubic
1.0
0.000 4.093 4.093
4.093 0.000 4.093
4.093 4.093 0.000
In Ac Sr
2 1 1
direct
0.750 0.750 0.750
0.250 0.250 0.250
0.500 0.500 0.500
0.000 0.000 0.000

---

Number 1: calculated total energy -49.273 eV/atom. Number 2: calculated total energy -57.373 eV/atom. Number 3: calculated total energy -34.644 eV/atom. Number 4: calculated total energy -32.767 eV/atom.